Entry 1:
The following is a GGA-PBE calculation of a relaxed structure of RbNdP4O12, from Materials Project.

Values from the calculation:
Energy relative to the elements (meV per atom): -2917
Calculated volume (Å³ per cell): 1044.2
M_tot (μB per formula unit): 0.0

```
RbNdP4O12
1.0
10.647 0.000 0.000
0.000 9.171 0.000
-7.501 0.000 10.695
Rb Nd P O
4 4 16 48
Direct
0.241 0.071 0.041
0.241 0.429 0.541
0.759 0.571 0.459
0.759 0.929 0.959
0.315 0.727 0.816
0.315 0.773 0.316
0.685 0.227 0.684
0.685 0.273 0.184
0.026 0.027 0.275
0.026 0.473 0.775
0.199 0.603 0.021
0.199 0.897 0.521
0.320 0.173 0.359
0.320 0.327 0.859
0.385 0.094 0.740
0.385 0.406 0.240
0.615 0.594 0.760
0.615 0.906 0.260
0.680 0.673 0.141
0.680 0.827 0.641
0.801 0.103 0.479
0.801 0.397 0.979
0.974 0.527 0.225
0.974 0.973 0.725
0.042 0.541 0.897
0.042 0.959 0.397
0.068 0.583 0.714
0.068 0.917 0.214
0.130 0.595 0.304
0.130 0.905 0.804
0.153 0.157 0.336
0.153 0.343 0.836
0.162 0.706 0.090
0.162 0.794 0.590
0.263 0.051 0.596
0.263 0.449 0.096
0.275 0.207 0.752
0.275 0.293 0.252
0.301 0.655 0.984
0.301 0.845 0.484
0.362 0.035 0.324
0.362 0.465 0.824
0.423 0.535 0.323
0.423 0.965 0.823
0.424 0.240 0.486
0.424 0.260 0.986
0.486 0.678 0.747
0.486 0.822 0.247
0.514 0.178 0.753
0.514 0.322 0.253
0.576 0.740 0.014
0.576 0.760 0.514
0.577 0.035 0.177
0.577 0.465 0.677
0.638 0.535 0.176
0.638 0.965 0.676
0.699 0.155 0.516
0.699 0.345 0.016
0.725 0.707 0.748
0.725 0.793 0.248
0.737 0.551 0.904
0.737 0.949 0.404
0.838 0.206 0.410
0.838 0.294 0.910
0.847 0.657 0.164
0.847 0.843 0.664
0.870 0.095 0.196
0.870 0.405 0.696
0.932 0.083 0.786
0.932 0.417 0.286
0.958 0.041 0.603
0.958 0.459 0.103
```

---

Entry 2:
The following is a GGA-PBE calculation of a relaxed structure of RbNdP4O12, from Materials Project.

Values from the calculation:
Energy relative to the elements (meV per atom): -2917
Calculated volume (Å³ per cell): 533.0
M_tot (μB per formula unit): 0.0

```
RbNdP4O12
1.0
4.033 -6.546 0.000
4.033 6.546 0.000
-3.903 0.000 10.093
Rb Nd P O
2 2 8 24
Direct
0.193 0.807 0.750
0.807 0.193 0.250
0.123 0.877 0.250
0.877 0.123 0.750
0.252 0.305 0.549
0.293 0.619 0.011
0.305 0.252 0.049
0.381 0.707 0.489
0.619 0.293 0.511
0.695 0.748 0.951
0.707 0.381 0.989
0.748 0.695 0.451
0.101 0.486 0.896
0.141 0.164 0.409
0.164 0.141 0.909
0.170 0.252 0.659
0.205 0.689 0.388
0.252 0.170 0.159
0.279 0.527 0.555
0.311 0.795 0.112
0.358 0.489 0.090
0.473 0.721 0.945
0.486 0.101 0.396
0.489 0.358 0.590
0.511 0.642 0.410
0.514 0.899 0.604
0.527 0.279 0.055
0.642 0.511 0.910
0.689 0.205 0.888
0.721 0.473 0.445
0.748 0.830 0.841
0.795 0.311 0.612
0.830 0.748 0.341
0.836 0.859 0.091
0.859 0.836 0.591
0.899 0.514 0.104
```

---

Entry 3:
The following is a GGA-PBE calculation of a relaxed structure of NdTlP4O12, from Materials Project.

Values from the calculation:
Energy relative to the elements (meV per atom): -2801
Calculated volume (Å³ per cell): 1040.3
M_tot (μB per formula unit): 0.0

```
NdTlP4O12
1.0
10.616 0.000 0.000
0.000 9.139 0.000
-7.535 0.000 10.722
Nd Tl P O
4 4 16 48
Direct
0.184 0.228 0.183
0.184 0.272 0.683
0.816 0.728 0.317
0.816 0.772 0.817
0.252 0.563 0.961
0.252 0.937 0.461
0.748 0.063 0.539
0.748 0.437 0.039
0.114 0.597 0.261
0.114 0.903 0.761
0.181 0.674 0.641
0.181 0.826 0.141
0.300 0.105 0.977
0.300 0.395 0.477
0.474 0.524 0.724
0.474 0.976 0.224
0.526 0.024 0.776
0.526 0.476 0.276
0.700 0.605 0.523
0.700 0.895 0.023
0.819 0.174 0.859
0.819 0.326 0.359
0.886 0.097 0.239
0.886 0.403 0.739
0.013 0.183 0.251
0.013 0.317 0.751
0.072 0.032 0.676
0.072 0.468 0.176
0.080 0.746 0.516
0.080 0.754 0.016
0.133 0.534 0.670
0.133 0.966 0.170
0.199 0.161 0.014
0.199 0.339 0.514
0.226 0.708 0.250
0.226 0.792 0.750
0.234 0.550 0.404
0.234 0.950 0.904
0.337 0.205 0.907
0.337 0.295 0.407
0.350 0.657 0.667
0.350 0.843 0.167
0.367 0.088 0.696
0.367 0.412 0.196
0.430 0.088 0.282
0.430 0.412 0.782
0.457 0.042 0.101
0.457 0.458 0.601
0.543 0.542 0.399
0.543 0.958 0.899
0.570 0.588 0.218
0.570 0.912 0.718
0.633 0.588 0.804
0.633 0.912 0.304
0.650 0.157 0.833
0.650 0.343 0.333
0.663 0.705 0.593
0.663 0.795 0.093
0.766 0.050 0.096
0.766 0.450 0.596
0.774 0.208 0.250
0.774 0.292 0.750
0.801 0.661 0.486
0.801 0.839 0.986
0.867 0.034 0.830
0.867 0.466 0.330
0.920 0.246 0.984
0.920 0.254 0.484
0.928 0.532 0.824
0.928 0.968 0.324
0.987 0.683 0.249
0.987 0.817 0.749
```

---

Entry 4:
The following is a GGA-PBE calculation of a relaxed structure of NdZr6P9O36, from Materials Project.

Values from the calculation:
Energy relative to the elements (meV per atom): -3240
Calculated volume (Å³ per cell): 1607.9
M_tot (μB per formula unit): 0.1

```
NdZr6P9O36
1.0
8.922 0.000 0.000
-4.461 7.727 0.000
0.000 0.000 23.323
Nd Zr P O
2 12 18 72
Direct
0.000 0.000 0.000
0.000 0.000 0.500
0.000 0.000 0.150
0.000 0.000 0.350
0.000 0.000 0.650
0.000 0.000 0.850
0.333 0.667 0.025
0.333 0.667 0.313
0.333 0.667 0.525
0.333 0.667 0.813
0.667 0.333 0.187
0.667 0.333 0.475
0.667 0.333 0.687
0.667 0.333 0.975
0.000 0.292 0.250
0.000 0.708 0.750
0.052 0.374 0.920
0.052 0.678 0.420
0.292 0.000 0.250
0.292 0.292 0.750
0.322 0.374 0.420
0.322 0.948 0.920
0.374 0.052 0.580
0.374 0.322 0.080
0.626 0.678 0.920
0.626 0.948 0.420
0.678 0.052 0.080
0.678 0.626 0.580
0.708 0.000 0.750
0.708 0.708 0.250
0.948 0.322 0.580
0.948 0.626 0.080
0.005 0.178 0.918
0.005 0.827 0.418
0.030 0.205 0.197
0.030 0.825 0.697
0.117 0.495 0.572
0.117 0.622 0.072
0.142 0.468 0.865
0.142 0.674 0.365
0.159 0.469 0.260
0.159 0.690 0.760
0.172 0.451 0.973
0.172 0.721 0.473
0.173 0.178 0.418
0.173 0.995 0.918
0.175 0.205 0.697
0.175 0.970 0.197
0.178 0.005 0.582
0.178 0.173 0.082
0.205 0.030 0.303
0.205 0.175 0.803
0.279 0.451 0.473
0.279 0.828 0.973
0.310 0.469 0.760
0.310 0.841 0.260
0.326 0.468 0.365
0.326 0.858 0.865
0.378 0.495 0.072
0.378 0.883 0.572
0.451 0.172 0.527
0.451 0.279 0.027
0.468 0.142 0.635
0.468 0.326 0.135
0.469 0.159 0.240
0.469 0.310 0.740
0.495 0.117 0.928
0.495 0.378 0.428
0.505 0.622 0.572
0.505 0.883 0.072
0.531 0.690 0.260
0.531 0.841 0.760
0.532 0.674 0.865
0.532 0.858 0.365
0.549 0.721 0.973
0.549 0.828 0.473
0.622 0.117 0.428
0.622 0.505 0.928
0.674 0.142 0.135
0.674 0.532 0.635
0.690 0.159 0.740
0.690 0.531 0.240
0.721 0.172 0.027
0.721 0.549 0.527
0.795 0.825 0.197
0.795 0.970 0.697
0.822 0.827 0.918
0.822 0.995 0.418
0.825 0.030 0.803
0.825 0.795 0.303
0.827 0.005 0.082
0.827 0.822 0.582
0.828 0.279 0.527
0.828 0.549 0.027
0.841 0.310 0.240
0.841 0.531 0.740
0.858 0.326 0.635
0.858 0.532 0.135
0.883 0.378 0.928
0.883 0.505 0.428
0.970 0.175 0.303
0.970 0.795 0.803
0.995 0.173 0.582
0.995 0.822 0.082
```

---

Entry 5:
The following is a GGA-PBE calculation of a relaxed structure of Nd2Pd2O5, from Materials Project.

Values from the calculation:
Energy relative to the elements (meV per atom): -2503
Calculated volume (Å³ per cell): 249.1

```
Nd2Pd2O5
1.0
6.653 0.000 0.000
0.000 6.653 0.000
0.000 0.000 5.627
Nd Pd O
4 4 10
Direct
0.107 0.260 0.000
0.260 0.893 0.500
0.740 0.107 0.500
0.893 0.740 0.000
0.305 0.405 0.500
0.405 0.695 0.000
0.595 0.305 0.000
0.695 0.595 0.500
0.000 0.000 0.250
0.000 0.000 0.750
0.195 0.599 0.241
0.195 0.599 0.759
0.401 0.195 0.259
0.401 0.195 0.741
0.599 0.805 0.259
0.599 0.805 0.741
0.805 0.401 0.241
0.805 0.401 0.759
```

---

Entry 6:
The following is a GGA-PBE calculation of a relaxed structure of Nd2ZnPtO6, from Materials Project.

Values from the calculation:
Energy relative to the elements (meV per atom): -2578
Calculated volume (Å³ per cell): 254.1
M_tot (μB per formula unit): 0.0

```
Nd2ZnPtO6
1.0
5.506 0.000 0.000
0.000 5.847 0.000
-5.468 0.000 7.894
Nd Zn Pt O
4 2 2 12
Direct
0.232 0.069 0.251
0.232 0.431 0.751
0.768 0.569 0.249
0.768 0.931 0.749
0.500 0.000 0.000
0.500 0.500 0.500
0.000 0.000 0.500
0.000 0.500 0.000
0.133 0.205 0.944
0.133 0.295 0.444
0.248 0.695 0.947
0.248 0.805 0.447
0.355 0.035 0.748
0.355 0.465 0.248
0.645 0.535 0.752
0.645 0.965 0.252
0.752 0.195 0.553
0.752 0.305 0.053
0.867 0.705 0.556
0.867 0.795 0.056
```

---

Entry 7:
The following is a GGA-PBE calculation of a relaxed structure of RbNdO2, from Materials Project.

Values from the calculation:
Energy relative to the elements (meV per atom): -2902
Calculated volume (Å³ per cell): 77.3

```
RbNdO2
1.0
1.836 1.060 6.617
-1.836 1.060 6.617
0.000 -2.120 6.617
Rb Nd O
1 1 2
Direct
0.000 0.000 0.000
0.500 0.500 0.500
0.227 0.227 0.227
0.773 0.773 0.773
```

---

Entry 8:
The following is a GGA-PBE calculation of a relaxed structure of RbNdS2O12, from Materials Project.

Values from the calculation:
Energy relative to the elements (meV per atom): -1272
Calculated volume (Å³ per cell): 1153.8
M_tot (μB per formula unit): 2.0

```
RbNdS2O12
1.0
6.353 0.000 0.000
0.000 20.286 0.000
-0.586 0.000 8.953
Rb Nd S O
4 4 8 48
Direct
0.161 0.212 0.135
0.161 0.288 0.635
0.839 0.712 0.365
0.839 0.788 0.865
0.374 0.636 0.709
0.374 0.864 0.209
0.626 0.136 0.791
0.626 0.364 0.291
0.190 0.071 0.778
0.190 0.429 0.278
0.376 0.719 0.092
0.376 0.781 0.592
0.624 0.219 0.408
0.624 0.281 0.908
0.810 0.571 0.722
0.810 0.929 0.222
0.012 0.605 0.680
0.012 0.895 0.180
0.148 0.004 0.734
0.148 0.496 0.234
0.183 0.739 0.617
0.183 0.761 0.117
0.185 0.627 0.462
0.185 0.873 0.962
0.214 0.078 0.323
0.214 0.422 0.823
0.279 0.113 0.659
0.279 0.387 0.159
0.305 0.028 0.276
0.305 0.472 0.776
0.309 0.524 0.862
0.309 0.976 0.362
0.350 0.076 0.910
0.350 0.424 0.410
0.358 0.694 0.936
0.358 0.806 0.436
0.400 0.666 0.200
0.400 0.834 0.700
0.442 0.233 0.890
0.442 0.267 0.390
0.558 0.733 0.610
0.558 0.767 0.110
0.600 0.166 0.300
0.600 0.334 0.800
0.642 0.194 0.564
0.642 0.306 0.064
0.650 0.576 0.590
0.650 0.924 0.090
0.691 0.024 0.638
0.691 0.476 0.138
0.695 0.528 0.224
0.695 0.972 0.724
0.721 0.613 0.841
0.721 0.887 0.341
0.786 0.578 0.177
0.786 0.922 0.677
0.815 0.127 0.038
0.815 0.373 0.538
0.817 0.239 0.883
0.817 0.261 0.383
0.852 0.504 0.766
0.852 0.996 0.266
0.988 0.105 0.820
0.988 0.395 0.320
```

---

no.,VASP energy (eV/atom)
1,-7.2796
2,-7.2796
3,-7.2403
4,-8.2044
5,-7.0812
6,-6.8214
7,-6.4693
8,-5.8589